Here is crystalline Na2Ta2Al6Si3S9O48 at its relaxed geometry from the Materials Project. Energies are from PBE.

Values from the calculation:
E (MP2020): -1547.5 eV/cell
Total energy: -6.898 eV per atom
Formation enthalpy at 0 K: -2.514 eV/atom

Lattice parameters (Å, degrees): 8.479 14.708 22.011 89.75 90.00 89.76
Sites, in units of the cell vectors:
Na1 0.000 0.000 0.000
Na2 0.001 0.339 0.165
Na3 0.009 0.997 0.501
Na4 0.510 0.499 0.005
Na5 0.520 0.836 0.663
Na6 0.521 0.501 0.497
Ta1 0.003 0.669 0.688
Ta2 0.016 0.339 0.807
Ta3 0.502 0.833 0.303
Ta4 0.519 0.169 0.190
Ta5 0.523 0.841 0.023
Ta6 0.997 0.342 0.521
Al1 0.003 0.337 0.022
Al2 0.004 0.000 0.855
Al3 0.004 0.340 0.315
Al4 0.008 0.998 0.645
Al5 0.010 0.674 0.977
Al6 0.011 0.002 0.146
Al7 0.014 0.004 0.352
Al8 0.018 0.666 0.191
Al9 0.506 0.506 0.852
Al10 0.508 0.503 0.644
Al11 0.511 0.168 0.686
Al12 0.512 0.173 0.474
Al13 0.513 0.503 0.351
Al14 0.515 0.500 0.148
Al15 0.516 0.836 0.817
Al16 0.520 0.835 0.519
Al17 0.524 0.175 0.985
Al18 0.995 0.674 0.482
Si1 0.242 0.508 0.748
Si2 0.279 0.008 0.249
Si3 0.362 0.632 0.247
Si4 0.654 0.322 0.080
Si5 0.670 0.031 0.082
Si6 0.709 0.337 0.409
Si7 0.810 0.835 0.911
Si8 0.852 0.530 0.581
Si9 0.863 0.820 0.579
S1 0.146 0.811 0.083
S2 0.151 0.529 0.080
S3 0.155 0.189 0.415
S4 0.155 0.486 0.414
S5 0.158 0.139 0.748
S6 0.162 0.865 0.751
S7 0.220 0.836 0.419
S8 0.222 0.171 0.079
S9 0.300 0.671 0.579
S10 0.303 0.336 0.919
S11 0.358 0.363 0.252
S12 0.365 0.689 0.915
S13 0.365 0.986 0.914
S14 0.367 0.029 0.582
S15 0.374 0.310 0.583
S16 0.643 0.358 0.749
S17 0.644 0.648 0.751
S18 0.658 0.693 0.418
S19 0.658 0.982 0.417
S20 0.722 0.005 0.749
S21 0.733 0.665 0.084
S22 0.793 0.166 0.585
S23 0.801 0.503 0.249
S24 0.863 0.482 0.917
S25 0.865 0.192 0.917
S26 0.876 0.860 0.249
S27 0.878 0.148 0.252
O1 0.074 0.567 0.134
O2 0.075 0.100 0.410
O3 0.080 0.102 0.694
O4 0.080 0.770 0.028
O5 0.080 0.903 0.088
O6 0.081 0.574 0.425
O7 0.083 0.232 0.470
O8 0.083 0.436 0.071
O9 0.084 0.233 0.757
O10 0.085 0.441 0.361
O11 0.088 0.907 0.805
O12 0.091 0.775 0.744
O13 0.116 0.917 0.412
O14 0.119 0.756 0.137
O15 0.120 0.091 0.087
O16 0.120 0.419 0.758
O17 0.122 0.585 0.025
O18 0.124 0.594 0.742
O19 0.125 0.255 0.072
O20 0.128 0.752 0.426
O21 0.130 0.086 0.803
O22 0.130 0.424 0.470
O23 0.133 0.248 0.361
O24 0.139 0.921 0.696
O25 0.179 0.654 0.237
O26 0.182 0.988 0.188
O27 0.184 0.019 0.311
O28 0.184 0.352 0.260
O29 0.192 0.996 0.906
O30 0.193 0.024 0.592
O31 0.196 0.353 0.971
O32 0.196 0.677 0.925
O33 0.200 0.317 0.576
O34 0.200 0.324 0.863
O35 0.201 0.654 0.526
O36 0.205 0.688 0.636
O37 0.315 0.188 0.135
O38 0.319 0.824 0.364
O39 0.321 0.154 0.025
O40 0.321 0.818 0.074
O41 0.324 0.521 0.087
O42 0.325 0.177 0.426
O43 0.325 0.853 0.472
O44 0.327 0.492 0.411
O45 0.328 0.153 0.739
O46 0.335 0.854 0.759
O47 0.336 0.516 0.810
O48 0.340 0.487 0.688
O49 0.380 0.417 0.195
O50 0.383 0.925 0.969
O51 0.387 0.747 0.860
O52 0.394 0.086 0.528
O53 0.394 0.095 0.241
O54 0.394 0.251 0.924
O55 0.396 0.754 0.573
O56 0.399 0.580 0.309
O57 0.401 0.255 0.639
O58 0.401 0.591 0.588
O59 0.401 0.921 0.258
O60 0.404 0.416 0.911
O61 0.427 0.271 0.243
O62 0.433 0.937 0.575
O63 0.434 0.400 0.305
O64 0.436 0.940 0.860
O65 0.438 0.074 0.923
O66 0.438 0.732 0.969
O67 0.442 0.069 0.638
O68 0.443 0.266 0.530
O69 0.443 0.401 0.589
O70 0.444 0.736 0.259
O71 0.446 0.599 0.909
O72 0.451 0.595 0.188
O73 0.569 0.739 0.757
O74 0.570 0.277 0.022
O75 0.573 0.419 0.092
O76 0.576 0.267 0.740
O77 0.578 0.932 0.076
O78 0.581 0.398 0.805
O79 0.581 0.735 0.471
O80 0.582 0.607 0.696
O81 0.583 0.071 0.142
O82 0.584 0.071 0.428
O83 0.584 0.603 0.411
O84 0.587 0.942 0.362
O85 0.607 0.429 0.405
O86 0.610 0.249 0.428
O87 0.618 0.924 0.756
O88 0.621 0.087 0.739
O89 0.624 0.257 0.141
O90 0.625 0.592 0.806
O91 0.627 0.748 0.076
O92 0.629 0.751 0.363
O93 0.630 0.586 0.089
O94 0.631 0.087 0.021
O95 0.631 0.416 0.695
O96 0.634 0.922 0.471
O97 0.669 0.515 0.593
O98 0.672 0.828 0.574
O99 0.690 0.490 0.907
O100 0.691 0.820 0.855
O101 0.692 0.853 0.972
O102 0.695 0.184 0.923
O103 0.697 0.150 0.530
O104 0.697 0.184 0.639
O105 0.701 0.851 0.258
O106 0.702 0.160 0.247
O107 0.705 0.481 0.194
O108 0.707 0.517 0.304
O109 0.819 0.660 0.747
O110 0.820 0.022 0.803
O111 0.820 0.345 0.758
O112 0.822 0.988 0.695
O113 0.825 0.355 0.472
O114 0.828 0.654 0.029
O115 0.828 0.683 0.138
O116 0.829 0.686 0.423
O117 0.832 0.992 0.409
O118 0.833 0.320 0.356
O119 0.845 0.327 0.074
O120 0.853 0.015 0.093
O121 0.888 0.421 0.969
O122 0.891 0.918 0.195
O123 0.892 0.588 0.522
O124 0.894 0.250 0.862
O125 0.894 0.758 0.641
O126 0.895 0.248 0.577
O127 0.895 0.585 0.238
O128 0.897 0.092 0.306
O129 0.899 0.088 0.594
O130 0.910 0.423 0.256
O131 0.911 0.747 0.928
O132 0.912 0.927 0.907
O133 0.934 0.440 0.861
O134 0.937 0.570 0.925
O135 0.938 0.107 0.196
O136 0.938 0.571 0.642
O137 0.940 0.769 0.240
O138 0.942 0.234 0.970
O139 0.942 0.900 0.305
O140 0.943 0.103 0.907
O141 0.943 0.430 0.577
O142 0.946 0.918 0.591
O143 0.949 0.774 0.522
O144 0.951 0.239 0.257